Entry 1:
The following is a PBE with a Hubbard U calculation of a geometry-optimized LiFePH2O5 structure, from the Materials Project.

Cell lengths 4.704, 5.661, 7.922 Å; angles 90.00, 90.00, 90.00 degrees
Atoms (fractional coordinates):
Li  0.075  0.000  0.467
Li  0.575  0.500  0.533
Fe  0.016  0.000  0.982
Fe  0.516  0.500  0.018
P  0.586  0.000  0.236
P  0.086  0.500  0.764
H  0.587  0.139  0.782
H  0.087  0.361  0.218
H  0.087  0.639  0.218
H  0.587  0.861  0.782
O  0.257  0.000  0.221
O  0.671  0.000  0.423
O  0.713  0.000  0.780
O  0.721  0.217  0.139
O  0.221  0.283  0.861
O  0.213  0.500  0.220
O  0.757  0.500  0.779
O  0.171  0.500  0.577
O  0.221  0.717  0.861
O  0.721  0.783  0.139

SG	No. 31
ρ	2.77	g cm⁻³
energy above the lowest structure with this stoichiometry	70	meV per atom
formation energy	-2022	meV/atom
magnetic moment	0.4002	μB per atom

=====

Entry 2:
The following is a PBE with a Hubbard U calculation of a geometry-optimized LiFePH2O5 structure, from the Materials Project.

Cell lengths 5.087, 10.306, 16.896 Å; angles 90.00, 90.00, 90.00 degrees
Atoms (fractional coordinates):
Li  0.471  0.176  0.496
Li  0.529  0.176  0.996
Li  0.912  0.396  0.247
Li  0.088  0.396  0.747
Li  0.471  0.676  0.004
Li  0.529  0.676  0.504
Li  0.088  0.896  0.753
Li  0.912  0.896  0.253
Fe  0.457  0.147  0.689
Fe  0.543  0.147  0.189
Fe  0.114  0.422  0.942
Fe  0.886  0.422  0.442
Fe  0.543  0.647  0.311
Fe  0.457  0.647  0.811
Fe  0.114  0.922  0.558
Fe  0.886  0.922  0.058
P  0.015  0.228  0.092
P  0.985  0.228  0.592
P  0.411  0.345  0.341
P  0.589  0.345  0.841
P  0.015  0.728  0.408
P  0.985  0.728  0.908
P  0.589  0.845  0.659
P  0.411  0.845  0.159
H  0.092  0.003  0.372
H  0.908  0.003  0.872
H  0.636  0.052  0.381
H  0.364  0.052  0.881
H  0.134  0.111  0.308
H  0.866  0.111  0.808
H  0.624  0.449  0.053
H  0.376  0.449  0.553
H  0.092  0.503  0.128
H  0.908  0.503  0.628
H  0.364  0.552  0.619
H  0.636  0.552  0.119
H  0.866  0.611  0.692
H  0.134  0.611  0.192
H  0.624  0.949  0.447
H  0.376  0.949  0.947
O  0.529  0.025  0.426
O  0.471  0.025  0.926
O  0.013  0.040  0.323
O  0.987  0.040  0.823
O  0.860  0.118  0.048
O  0.140  0.118  0.548
O  0.312  0.194  0.094
O  0.688  0.194  0.594
O  0.578  0.217  0.794
O  0.422  0.217  0.294
O  0.898  0.242  0.177
O  0.102  0.242  0.677
O  0.466  0.326  0.925
O  0.534  0.326  0.425
O  0.970  0.356  0.046
O  0.030  0.356  0.546
O  0.120  0.389  0.347
O  0.880  0.389  0.847
O  0.575  0.451  0.297
O  0.425  0.451  0.797
O  0.471  0.525  0.574
O  0.529  0.525  0.074
O  0.987  0.540  0.677
O  0.013  0.540  0.177
O  0.140  0.618  0.952
O  0.860  0.618  0.452
O  0.688  0.694  0.906
O  0.312  0.694  0.406
O  0.422  0.717  0.206
O  0.578  0.717  0.706
O  0.102  0.742  0.823
O  0.898  0.742  0.323
O  0.466  0.826  0.575
O  0.534  0.826  0.075
O  0.970  0.856  0.454
O  0.030  0.856  0.954
O  0.880  0.889  0.653
O  0.120  0.889  0.153
O  0.425  0.951  0.703
O  0.575  0.951  0.203

SG	No. 29
ρ	2.64	g cm⁻³
energy above the lowest structure with this stoichiometry	0	meV per atom
formation energy	-2093	meV/atom
magnetic moment	0.4000	μB per atom

=====

Entry 3:
The following is a PBE with a Hubbard U calculation of a geometry-optimized LiFePH2O5 structure, from the Materials Project.

Cell lengths 5.086, 8.215, 11.021 Å; angles 90.00, 90.00, 90.00 degrees
Atoms (fractional coordinates):
Li  0.260  0.677  0.185
Li  0.760  0.177  0.315
Li  0.260  0.823  0.685
Li  0.760  0.323  0.815
Fe  0.754  0.869  0.120
Fe  0.254  0.369  0.380
Fe  0.754  0.631  0.620
Fe  0.254  0.131  0.880
P  0.257  0.079  0.173
P  0.757  0.579  0.327
P  0.257  0.421  0.673
P  0.757  0.921  0.827
H  0.591  0.454  0.017
H  0.824  0.330  0.043
H  0.324  0.830  0.457
H  0.091  0.954  0.483
H  0.591  0.046  0.517
H  0.824  0.170  0.543
H  0.324  0.670  0.957
H  0.091  0.546  0.983
O  0.258  0.589  0.015
O  0.190  0.173  0.055
O  0.141  0.904  0.167
O  0.560  0.064  0.192
O  0.637  0.673  0.218
O  0.137  0.173  0.282
O  0.060  0.564  0.308
O  0.641  0.404  0.333
O  0.690  0.673  0.445
O  0.758  0.089  0.485
O  0.258  0.911  0.515
O  0.190  0.327  0.555
O  0.141  0.596  0.667
O  0.560  0.436  0.692
O  0.637  0.827  0.718
O  0.137  0.327  0.782
O  0.060  0.936  0.808
O  0.641  0.096  0.833
O  0.690  0.827  0.945
O  0.758  0.411  0.985

SG	No. 33
ρ	2.54	g cm⁻³
energy above the lowest structure with this stoichiometry	0	meV per atom
formation energy	-2092	meV/atom
magnetic moment	0.4000	μB per atom

=====

Entry 4:
The following is a PBE with a Hubbard U calculation of a geometry-optimized LiFe2P2HO8 structure, from the Materials Project.

Cell lengths 5.170, 8.487, 8.767 Å; angles 94.01, 97.21, 106.45 degrees
Atoms (fractional coordinates):
Li  0.360  0.164  0.659
Li  0.640  0.836  0.341
Fe  0.768  0.906  0.727
Fe  0.699  0.384  0.101
Fe  0.232  0.094  0.274
Fe  0.301  0.616  0.899
P  0.852  0.242  0.431
P  0.148  0.758  0.569
P  0.141  0.242  0.932
P  0.859  0.758  0.068
H  0.884  0.427  0.627
H  0.116  0.573  0.373
O  0.607  0.090  0.366
O  0.393  0.910  0.634
O  0.099  0.087  0.817
O  0.901  0.913  0.183
O  0.869  0.270  0.956
O  0.131  0.730  0.044
O  0.770  0.310  0.588
O  0.230  0.690  0.412
O  0.113  0.189  0.469
O  0.887  0.811  0.531
O  0.898  0.380  0.323
O  0.102  0.620  0.677
O  0.307  0.225  0.091
O  0.693  0.775  0.909
O  0.335  0.387  0.864
O  0.665  0.613  0.136

SG	No. 2
ρ	2.83	g cm⁻³
energy above the lowest structure with this stoichiometry	0	meV per atom
formation energy	-2287	meV/atom
magnetic moment	0.0000	μB per atom

=====

Entry 5:
The following is a PBE with a Hubbard U calculation of a geometry-optimized Li2FePHO5 structure, from the Materials Project.

Cell lengths 5.389, 5.526, 7.657 Å; angles 107.54, 109.22, 93.11 degrees
Atoms (fractional coordinates):
Li  0.463  0.126  0.831
Li  0.793  0.428  0.805
Li  0.207  0.572  0.195
Li  0.537  0.874  0.169
Fe  0.000  0.000  0.500
Fe  0.000  0.000  0.000
P  0.674  0.377  0.231
P  0.326  0.623  0.769
H  0.333  0.076  0.355
H  0.667  0.924  0.645
O  0.820  0.061  0.731
O  0.736  0.217  0.371
O  0.334  0.337  0.666
O  0.388  0.254  0.073
O  0.874  0.356  0.121
O  0.126  0.644  0.879
O  0.612  0.746  0.927
O  0.666  0.663  0.334
O  0.264  0.783  0.629
O  0.180  0.939  0.269

SG	No. 2
ρ	2.98	g cm⁻³
energy above the lowest structure with this stoichiometry	13	meV per atom
formation energy	-2250	meV/atom
magnetic moment	0.4000	μB per atom

=====

Entry 6:
The following is a PBE with a Hubbard U calculation of a geometry-optimized LiFePH2O5 structure, from the Materials Project.

Cell lengths 5.110, 8.228, 11.044 Å; angles 90.00, 90.00, 90.00 degrees
Atoms (fractional coordinates):
Li  0.196  0.123  0.116
Li  0.696  0.623  0.384
Li  0.196  0.377  0.616
Li  0.696  0.877  0.884
Fe  0.699  0.313  0.197
Fe  0.199  0.813  0.303
Fe  0.699  0.187  0.697
Fe  0.199  0.687  0.803
P  0.689  0.913  0.167
P  0.189  0.413  0.333
P  0.689  0.587  0.667
P  0.189  0.087  0.833
H  0.376  0.569  0.007
H  0.143  0.686  0.038
H  0.643  0.186  0.462
H  0.876  0.069  0.493
H  0.376  0.931  0.507
H  0.143  0.814  0.538
H  0.643  0.314  0.962
H  0.876  0.431  0.993
O  0.694  0.404  0.015
O  0.626  0.825  0.050
O  0.561  0.086  0.170
O  0.993  0.936  0.184
O  0.090  0.316  0.219
O  0.590  0.816  0.281
O  0.493  0.436  0.316
O  0.061  0.586  0.330
O  0.126  0.325  0.450
O  0.194  0.904  0.485
O  0.694  0.096  0.515
O  0.626  0.675  0.550
O  0.561  0.414  0.670
O  0.993  0.564  0.684
O  0.090  0.184  0.719
O  0.590  0.684  0.781
O  0.493  0.064  0.816
O  0.061  0.914  0.830
O  0.126  0.175  0.950
O  0.194  0.596  0.985

SG	No. 33
ρ	2.51	g cm⁻³
energy above the lowest structure with this stoichiometry	41	meV per atom
formation energy	-2051	meV/atom
magnetic moment	0.4000	μB per atom